No. 1
! Ta6Zn3Fe4O24 (PBE with a Hubbard U, optimized geometry); values from VASP
! space-group type = P-1, No. 2
! formation enthalpy at 0 K = -94.92 eV/f.u.
&SYSTEM
  ibrav = 0, nat = 37, ntyp = 4
/
ATOMIC_SPECIES
Ta 180.95 Ta.upf
Zn 65.41 Zn.upf
Fe 55.84 Fe.upf
O 16.00 O.upf
CELL_PARAMETERS angstrom
-0.228 3.706 -5.975
-6.101 -5.474 -1.109
-3.306 6.717 7.090
ATOMIC_POSITIONS crystal
Ta 0.778 0.331 0.729
Ta 0.222 0.669 0.271
Ta 0.895 0.910 0.668
Ta 0.408 0.732 0.878
Ta 0.105 0.090 0.332
Ta 0.592 0.268 0.122
Zn 0.000 0.500 0.500
Zn 0.285 0.284 0.798
Zn 0.715 0.716 0.202
Fe 0.380 0.952 0.609
Fe 0.620 0.048 0.391
Fe 0.042 0.204 0.012
Fe 0.958 0.796 0.988
O 0.880 0.680 0.581
O 0.120 0.320 0.419
O 0.276 0.499 0.759
O 0.724 0.501 0.241
O 0.782 0.297 0.539
O 0.218 0.703 0.461
O 0.662 0.969 0.576
O 0.338 0.031 0.424
O 0.660 0.757 0.012
O 0.340 0.243 0.988
O 0.482 0.780 0.270
O 0.518 0.220 0.730
O 0.138 0.028 0.646
O 0.072 0.062 0.139
O 0.928 0.938 0.861
O 0.564 0.135 0.239
O 0.436 0.865 0.761
O 0.166 0.435 0.166
O 0.834 0.565 0.834
O 0.979 0.246 0.822
O 0.021 0.754 0.178
O 0.231 0.794 0.976
O 0.769 0.206 0.024
O 0.862 0.972 0.354

No. 2
! V3Pb5F19 (PBE with a Hubbard U, optimized geometry); values from VASP
! space-group type = I4cm, No. 108
! formation enthalpy at 0 K = -78.30 eV/f.u.
&SYSTEM
  ibrav = 0, nat = 54, ntyp = 3
/
ATOMIC_SPECIES
V 50.94 V.upf
Pb 207.20 Pb.upf
F 19.00 F.upf
CELL_PARAMETERS angstrom
-7.373 7.373 3.885
7.373 -7.373 3.885
7.373 7.373 -3.885
ATOMIC_POSITIONS crystal
V 0.717 0.217 0.825
V 0.393 0.893 0.175
V 0.893 0.717 0.500
V 0.217 0.393 0.500
V 0.248 0.248 0.000
V 0.748 0.748 0.000
Pb 0.330 0.170 0.298
Pb 0.872 0.032 0.702
Pb 0.032 0.330 0.160
Pb 0.830 0.532 0.160
Pb 0.170 0.872 0.840
Pb 0.372 0.670 0.840
Pb 0.532 0.372 0.702
Pb 0.670 0.830 0.298
Pb 0.713 0.213 0.500
Pb 0.213 0.713 0.500
F 0.539 0.039 0.647
F 0.393 0.893 0.353
F 0.893 0.539 0.500
F 0.039 0.393 0.500
F 0.288 0.530 0.372
F 0.158 0.916 0.628
F 0.916 0.288 0.758
F 0.788 0.416 0.758
F 0.530 0.158 0.242
F 0.658 0.030 0.242
F 0.416 0.658 0.628
F 0.030 0.788 0.372
F 0.364 0.864 0.994
F 0.870 0.370 0.006
F 0.370 0.364 0.500
F 0.864 0.870 0.500
F 0.210 0.710 0.728
F 0.983 0.483 0.272
F 0.483 0.210 0.500
F 0.710 0.983 0.500
F 0.997 0.997 0.000
F 0.497 0.497 0.000
F 0.297 0.360 0.179
F 0.181 0.119 0.821
F 0.119 0.297 0.938
F 0.797 0.619 0.938
F 0.360 0.181 0.062
F 0.681 0.860 0.062
F 0.619 0.681 0.821
F 0.860 0.797 0.179
F 0.646 0.504 0.351
F 0.152 0.295 0.649
F 0.295 0.646 0.142
F 0.146 0.795 0.142
F 0.504 0.152 0.858
F 0.652 0.004 0.858
F 0.795 0.652 0.649
F 0.004 0.146 0.351

No. 3
! LiNbWO7 (PBE with a Hubbard U, optimized geometry); values from VASP
! space-group type = Imma, No. 74
! formation enthalpy at 0 K = -21.14 eV/f.u.
&SYSTEM
  ibrav = 0, nat = 20, ntyp = 4
/
ATOMIC_SPECIES
Li 6.94 Li.upf
Nb 92.91 Nb.upf
W 183.84 W.upf
O 16.00 O.upf
CELL_PARAMETERS angstrom
-3.726 3.772 5.226
3.726 -3.772 5.226
3.726 3.772 -5.226
ATOMIC_POSITIONS crystal
Li 0.000 0.500 0.000
Li 0.000 0.000 0.500
Nb 0.000 0.000 0.000
Nb 0.500 0.000 0.500
W 0.500 0.000 0.000
W 0.500 0.500 0.500
O 0.963 0.713 0.250
O 0.037 0.287 0.750
O 0.559 0.940 0.245
O 0.195 0.940 0.881
O 0.556 0.306 0.250
O 0.195 0.314 0.255
O 0.559 0.314 0.619
O 0.177 0.927 0.250
O 0.441 0.060 0.755
O 0.805 0.060 0.119
O 0.444 0.694 0.750
O 0.805 0.686 0.745
O 0.441 0.686 0.381
O 0.823 0.073 0.750

No. 4
! Cs2Cr4CuH4O16 (PBE with a Hubbard U, optimized geometry); values from VASP
! space-group type = P-1, No. 2
! formation enthalpy at 0 K = -42.57 eV/f.u.
&SYSTEM
  ibrav = 0, nat = 27, ntyp = 5
/
ATOMIC_SPECIES
Cs 132.91 Cs.upf
Cr 52.00 Cr.upf
Cu 63.55 Cu.upf
H 1.01 H.upf
O 16.00 O.upf
CELL_PARAMETERS angstrom
7.746 0.000 0.000
-1.228 7.756 0.000
-3.660 -1.039 6.999
ATOMIC_POSITIONS crystal
Cs 0.740 0.834 0.262
Cs 0.260 0.166 0.738
Cr 0.702 0.848 0.755
Cr 0.298 0.152 0.245
Cr 0.245 0.669 0.469
Cr 0.755 0.331 0.531
Cu 0.000 0.500 0.000
H 0.211 0.795 0.000
H 0.686 0.363 0.990
H 0.789 0.205 0.000
H 0.314 0.637 0.010
O 0.814 0.331 0.054
O 0.333 0.002 0.115
O 0.088 0.650 0.234
O 0.912 0.350 0.766
O 0.889 0.924 0.723
O 0.263 0.324 0.134
O 0.513 0.212 0.477
O 0.731 0.519 0.461
O 0.269 0.481 0.539
O 0.111 0.076 0.277
O 0.667 0.998 0.885
O 0.487 0.788 0.523
O 0.737 0.676 0.866
O 0.186 0.669 0.946
O 0.162 0.777 0.585
O 0.838 0.223 0.415

No. 5
! MgV4O8 (PBE with a Hubbard U, optimized geometry); values from VASP
! space-group type = P1, No. 1
! formation enthalpy at 0 K = -32.95 eV/f.u.
! E above lowest polymorph = 8 meV per atom
&SYSTEM
  ibrav = 0, nat = 13, ntyp = 3
/
ATOMIC_SPECIES
Mg 24.30 Mg.upf
V 50.94 V.upf
O 16.00 O.upf
CELL_PARAMETERS angstrom
0.505 -5.869 -1.089
3.119 1.208 -4.987
1.793 2.185 5.323
ATOMIC_POSITIONS crystal
Mg 0.628 0.876 0.751
V 0.496 0.500 0.998
V 0.003 0.013 0.508
V 0.011 0.504 0.000
V 0.997 0.494 0.496
O 0.764 0.742 0.025
O 0.216 0.752 0.478
O 0.232 0.261 0.967
O 0.212 0.704 0.972
O 0.795 0.242 0.529
O 0.234 0.264 0.532
O 0.761 0.737 0.476
O 0.776 0.286 0.020

No. 6
! NaLi2CoF6 (PBE with a Hubbard U, optimized geometry); values from VASP
! space-group type = Fm-3m, No. 225
! formation enthalpy at 0 K = -25.06 eV/f.u.
&SYSTEM
  ibrav = 0, nat = 10, ntyp = 4
/
ATOMIC_SPECIES
Na 22.99 Na.upf
Li 6.94 Li.upf
Co 58.93 Co.upf
F 19.00 F.upf
CELL_PARAMETERS angstrom
5.641 0.000 0.000
2.820 4.885 0.000
2.820 1.628 4.606
ATOMIC_POSITIONS crystal
Na 0.500 0.500 0.500
Li 0.250 0.250 0.250
Li 0.750 0.750 0.750
Co 0.000 0.000 0.000
F 0.231 0.769 0.231
F 0.769 0.769 0.231
F 0.769 0.231 0.769
F 0.769 0.231 0.231
F 0.231 0.769 0.769
F 0.231 0.231 0.769

No. 7
! Sr2TiMoO6 (PBE with a Hubbard U, optimized geometry); values from VASP
! space-group type = Fm-3m, No. 225
! formation enthalpy at 0 K = -30.39 eV/f.u.
! E above lowest polymorph = 9 meV per atom
&SYSTEM
  ibrav = 0, nat = 10, ntyp = 4
/
ATOMIC_SPECIES
Sr 87.62 Sr.upf
Ti 47.87 Ti.upf
Mo 95.94 Mo.upf
O 16.00 O.upf
CELL_PARAMETERS angstrom
0.000 4.007 4.007
4.007 0.000 4.007
4.007 4.007 0.000
ATOMIC_POSITIONS crystal
Sr 0.750 0.750 0.750
Sr 0.250 0.250 0.250
Ti 0.000 0.000 0.000
Mo 0.500 0.500 0.500
O 0.755 0.755 0.245
O 0.245 0.245 0.755
O 0.755 0.245 0.755
O 0.245 0.755 0.245
O 0.245 0.755 0.755
O 0.755 0.245 0.245

No. 8
! Li7Mn11O24 (PBE with a Hubbard U, optimized geometry); values from VASP
! space-group type = C2/m, No. 12
! formation enthalpy at 0 K = -83.51 eV/f.u.
! E above lowest polymorph = 38 meV per atom
&SYSTEM
  ibrav = 0, nat = 42, ntyp = 3
/
ATOMIC_SPECIES
Li 6.94 Li.upf
Mn 54.94 Mn.upf
O 16.00 O.upf
CELL_PARAMETERS angstrom
2.887 5.186 0.000
-2.887 5.186 0.000
0.000 0.279 14.589
ATOMIC_POSITIONS crystal
Li 0.521 0.521 0.356
Li 0.479 0.479 0.644
Li 0.500 0.500 0.500
Li 0.842 0.842 0.044
Li 0.828 0.828 0.301
Li 0.172 0.172 0.699
Li 0.158 0.158 0.956
Mn 0.837 0.837 0.660
Mn 0.500 0.000 0.500
Mn 0.335 0.335 0.168
Mn 0.163 0.163 0.340
Mn 0.338 0.838 0.167
Mn 0.000 0.500 0.500
Mn 0.838 0.338 0.167
Mn 0.665 0.665 0.832
Mn 0.500 0.500 0.000
Mn 0.662 0.162 0.833
Mn 0.162 0.662 0.833
O 0.647 0.137 0.585
O 0.678 0.678 0.579
O 0.322 0.322 0.421
O 0.178 0.178 0.567
O 0.353 0.863 0.415
O 0.863 0.353 0.415
O 0.208 0.661 0.091
O 0.015 0.462 0.244
O 0.137 0.647 0.585
O 0.021 0.021 0.248
O 0.822 0.822 0.433
O 0.155 0.155 0.093
O 0.515 0.515 0.235
O 0.661 0.661 0.095
O 0.845 0.845 0.907
O 0.538 0.985 0.756
O 0.661 0.208 0.091
O 0.339 0.792 0.909
O 0.792 0.339 0.909
O 0.462 0.015 0.244
O 0.339 0.339 0.905
O 0.485 0.485 0.765
O 0.979 0.979 0.752
O 0.985 0.538 0.756